Below is a geometry-optimized Fe2Ni3N4 structure, with properties calculated at the PBE-GGA level.

abc: 5.5848 5.5848 5.5117
angles: 93.07 93.07 76.62
Fractional positions:
Fe 0.0620 0.3318 0.3526
Fe 0.3318 0.0620 0.8526
Fe 0.6682 0.9380 0.1474
Fe 0.9380 0.6682 0.6474
Ni 0.1386 0.8614 0.2500
Ni 0.2744 0.4957 0.9886
Ni 0.4957 0.2744 0.4886
Ni 0.5043 0.7256 0.5114
Ni 0.7256 0.5043 0.0114
Ni 0.8614 0.1386 0.7500
N 0.0701 0.2557 0.0231
N 0.2201 0.5788 0.4703
N 0.2557 0.0701 0.5231
N 0.4212 0.7799 0.0297
N 0.5788 0.2201 0.9703
N 0.7443 0.9299 0.4769
N 0.7799 0.4212 0.5297
N 0.9299 0.7443 0.9769

Summary:
V = 83 Å³/f.u.
DFT total energy = -7.249 eV/atom
Energy with MP2020 corrections = -7.41 eV per atom
Energy relative to the elements = 0.105 eV per atom